1.
! LiV6O7F5 | the Materials Project database | PBE+U | relaxed; values from VASP
&SYSTEM
  ibrav = 0, nat = 38, ntyp = 4
/
ATOMIC_SPECIES
Li 6.94 Li.upf
V 50.94 V.upf
O 16.00 O.upf
F 19.00 F.upf
CELL_PARAMETERS angstrom
9.285 0.000 0.000
0.000 6.588 0.000
0.000 6.583 7.007
ATOMIC_POSITIONS crystal
Li 0.235 0.507 0.751
Li 0.765 0.507 0.251
V 0.497 0.047 0.979
V 0.000 0.503 0.993
V 0.829 0.031 0.976
V 0.171 0.987 0.000
V 0.171 0.031 0.476
V 0.829 0.987 0.500
V 0.503 0.047 0.479
V 0.327 0.470 0.515
V 0.673 0.464 0.537
V 0.000 0.503 0.493
V 0.327 0.464 0.037
V 0.673 0.470 0.015
O 0.328 0.204 0.801
O 0.664 0.198 0.807
O 0.164 0.688 0.004
O 0.834 0.695 0.004
O 0.166 0.695 0.504
O 0.836 0.688 0.504
O 0.672 0.204 0.301
O 0.336 0.198 0.307
O 0.837 0.294 0.499
O 0.161 0.302 0.494
O 0.504 0.316 0.499
O 0.163 0.294 0.999
O 0.839 0.302 0.994
O 0.496 0.316 0.999
F 0.499 0.701 0.509
F 0.332 0.806 0.694
F 0.663 0.799 0.700
F 0.003 0.803 0.690
F 0.668 0.806 0.194
F 0.337 0.799 0.200
F 0.005 0.198 0.797
F 0.995 0.198 0.297
F 0.501 0.701 0.009
F 0.997 0.803 0.190
! - E_form (meV/atom) = -2721.0

2.
! Fe3OF5 | the Materials Project database | PBE+U | relaxed; values from VASP
&SYSTEM
  ibrav = 0, nat = 18, ntyp = 3
/
ATOMIC_SPECIES
Fe 55.84 Fe.upf
O 16.00 O.upf
F 19.00 F.upf
CELL_PARAMETERS angstrom
-4.658 4.658 3.183
0.126 4.815 -3.224
-4.815 -0.126 -3.224
ATOMIC_POSITIONS crystal
Fe 0.836 0.671 0.671
Fe 0.667 0.333 0.333
Fe 0.321 0.646 0.646
Fe 0.167 0.333 0.333
Fe 0.497 0.996 0.996
Fe 0.012 0.021 0.021
O 0.950 0.252 0.252
O 0.383 0.415 0.415
F 0.667 0.036 0.631
F 0.317 0.357 0.979
F 0.309 0.881 0.881
F 0.641 0.560 0.560
F 0.024 0.786 0.786
F 0.692 0.107 0.107
F 0.317 0.979 0.357
F 0.667 0.631 0.036
F 0.016 0.309 0.688
F 0.016 0.688 0.309
! - E_form (meV/atom) = -2363.7

3.
! Li9Mn2Co5O16 | the Materials Project database | PBE+U | relaxed; values from VASP
&SYSTEM
  ibrav = 0, nat = 32, ntyp = 4
/
ATOMIC_SPECIES
Li 6.94 Li.upf
Mn 54.94 Mn.upf
Co 58.93 Co.upf
O 16.00 O.upf
CELL_PARAMETERS angstrom
2.947 9.717 0.000
-2.947 9.717 0.000
0.000 0.998 5.023
ATOMIC_POSITIONS crystal
Li 0.742 0.261 0.506
Li 0.379 0.379 0.753
Li 0.261 0.742 0.506
Li 0.879 0.879 0.754
Li 0.125 0.125 0.250
Li 0.624 0.624 0.243
Li 0.499 0.004 0.999
Li 0.004 0.499 0.999
Li 0.501 0.501 0.000
Mn 0.001 0.001 0.000
Mn 0.251 0.251 0.500
Co 0.621 0.141 0.250
Co 0.865 0.382 0.756
Co 0.141 0.621 0.250
Co 0.752 0.752 0.499
Co 0.382 0.865 0.756
O 0.061 0.061 0.652
O 0.711 0.172 0.893
O 0.572 0.572 0.621
O 0.172 0.711 0.893
O 0.427 0.960 0.388
O 0.960 0.427 0.388
O 0.814 0.814 0.155
O 0.313 0.313 0.149
O 0.434 0.434 0.375
O 0.069 0.555 0.603
O 0.941 0.941 0.351
O 0.555 0.069 0.603
O 0.831 0.298 0.097
O 0.298 0.831 0.097
O 0.189 0.189 0.841
O 0.690 0.690 0.856
! - E_form (meV/atom) = -1836.8

4.
! MnAlSiO5 | the Materials Project database | PBE+U | relaxed; values from VASP
&SYSTEM
  ibrav = 0, nat = 32, ntyp = 4
/
ATOMIC_SPECIES
Mn 54.94 Mn.upf
Al 26.98 Al.upf
Si 28.09 Si.upf
O 16.00 O.upf
CELL_PARAMETERS angstrom
5.724 0.000 0.000
0.000 8.093 0.000
0.000 0.000 8.207
ATOMIC_POSITIONS crystal
Mn 0.255 0.000 0.000
Mn 0.745 0.000 0.000
Mn 0.245 0.500 0.500
Mn 0.755 0.500 0.500
Al 0.000 0.624 0.137
Al 0.000 0.376 0.863
Al 0.500 0.876 0.637
Al 0.500 0.124 0.363
Si 0.000 0.251 0.245
Si 0.000 0.749 0.755
Si 0.500 0.249 0.745
Si 0.500 0.751 0.255
O 0.000 0.396 0.101
O 0.000 0.604 0.899
O 0.500 0.104 0.601
O 0.500 0.896 0.399
O 0.000 0.575 0.361
O 0.000 0.425 0.639
O 0.500 0.925 0.861
O 0.500 0.075 0.139
O 0.239 0.252 0.355
O 0.761 0.748 0.645
O 0.239 0.748 0.645
O 0.261 0.248 0.855
O 0.761 0.252 0.355
O 0.739 0.752 0.145
O 0.261 0.752 0.145
O 0.739 0.248 0.855
O 0.000 0.075 0.139
O 0.000 0.925 0.861
O 0.500 0.425 0.639
O 0.500 0.575 0.361
! - E_form (meV/atom) = -2936.1

5.
! La2MnNiO6 | the Materials Project database | PBE+U | relaxed; values from VASP
&SYSTEM
  ibrav = 0, nat = 10, ntyp = 4
/
ATOMIC_SPECIES
La 138.91 La.upf
Mn 54.94 Mn.upf
Ni 58.69 Ni.upf
O 16.00 O.upf
CELL_PARAMETERS angstrom
0.000 3.888 3.888
3.888 0.000 3.888
3.888 3.888 0.000
ATOMIC_POSITIONS crystal
La 0.250 0.250 0.250
La 0.750 0.750 0.750
Mn 0.500 0.500 0.500
Ni 0.000 0.000 0.000
O 0.744 0.744 0.256
O 0.256 0.744 0.256
O 0.744 0.256 0.256
O 0.256 0.256 0.744
O 0.744 0.256 0.744
O 0.256 0.744 0.744
! - E_form (meV/atom) = -2774.0

6.
! Cs5FeO4 | the Materials Project database | PBE+U | relaxed; values from VASP
&SYSTEM
  ibrav = 0, nat = 40, ntyp = 3
/
ATOMIC_SPECIES
Cs 132.91 Cs.upf
Fe 55.84 Fe.upf
O 16.00 O.upf
CELL_PARAMETERS angstrom
-3.637 -8.224 9.505
2.052 -5.761 -4.199
10.993 -0.900 3.427
ATOMIC_POSITIONS crystal
Cs 0.702 0.008 0.234
Cs 0.202 0.492 0.766
Cs 0.298 0.992 0.766
Cs 0.798 0.508 0.234
Cs 0.175 0.162 0.149
Cs 0.675 0.338 0.851
Cs 0.825 0.838 0.851
Cs 0.325 0.662 0.149
Cs 0.071 0.450 0.368
Cs 0.571 0.050 0.632
Cs 0.929 0.550 0.632
Cs 0.429 0.950 0.368
Cs 0.925 0.238 0.007
Cs 0.425 0.262 0.993
Cs 0.075 0.762 0.993
Cs 0.575 0.738 0.007
Cs 0.865 0.074 0.503
Cs 0.365 0.426 0.497
Cs 0.135 0.926 0.497
Cs 0.635 0.574 0.503
Fe 0.532 0.387 0.254
Fe 0.032 0.113 0.746
Fe 0.468 0.613 0.746
Fe 0.968 0.887 0.254
O 0.889 0.185 0.760
O 0.389 0.315 0.240
O 0.111 0.815 0.240
O 0.611 0.685 0.760
O 0.606 0.354 0.112
O 0.106 0.146 0.888
O 0.394 0.646 0.888
O 0.894 0.854 0.112
O 0.594 0.244 0.390
O 0.094 0.256 0.610
O 0.406 0.756 0.610
O 0.906 0.744 0.390
O 0.968 0.144 0.272
O 0.468 0.356 0.728
O 0.032 0.856 0.728
O 0.532 0.644 0.272
! - E_form (meV/atom) = -1451.6

Number 6 is which compound? Cs5FeO4